Entry 1:
First-principles (PBE-GGA) data for an optimized crystal structure of Na6MgSi6Ge7S6O48, as listed in the Materials Project database.

Values from the calculation:
The calculation puts the formation energy at -2260 meV/atom. The value obtained for the MP2020-corrected energy is -1512.1 eV per cell.

a = 8.547 Å, b = 14.889 Å, c = 21.940 Å
α = 89.62°, β = 89.80°, γ = 89.94°
Fractional positions:
Na1 0.000 0.000 0.000
Na2 0.001 0.333 0.667
Na3 0.002 0.671 0.836
Na4 0.006 0.677 0.332
Na5 0.151 0.508 0.754
Na6 0.193 0.817 0.752
Na7 0.324 0.314 0.255
Na8 0.372 0.011 0.250
Na9 0.497 0.834 0.166
Na10 0.503 0.172 0.832
Na11 0.505 0.508 0.996
Na12 0.508 0.498 0.501
Na13 0.509 0.842 0.669
Na14 0.512 0.173 0.329
Na15 0.825 0.817 0.250
Na16 0.871 0.508 0.253
Na17 0.993 0.328 0.168
Na18 0.996 0.005 0.499
Mg1 0.003 0.675 0.187
Mg2 0.006 0.672 0.686
Mg3 0.505 0.173 0.190
Si1 0.134 0.149 0.255
Si2 0.146 0.482 0.920
Si3 0.154 0.858 0.254
Si4 0.218 0.841 0.919
Si5 0.289 0.009 0.750
Si6 0.289 0.337 0.419
Si7 0.360 0.357 0.754
Si8 0.373 0.648 0.751
Si9 0.638 0.646 0.254
Si10 0.641 0.695 0.915
Si11 0.646 0.033 0.585
Si12 0.649 0.982 0.914
Si13 0.652 0.319 0.588
Si14 0.652 0.361 0.251
Si15 0.717 0.339 0.916
Si16 0.718 0.008 0.252
Si17 0.795 0.843 0.416
Si18 0.864 0.483 0.417
Ge1 0.000 0.009 0.648
Ge2 0.000 0.335 0.317
Ge3 0.000 0.674 0.971
Ge4 0.005 0.344 0.818
Ge5 0.010 0.004 0.159
Ge6 0.012 0.001 0.858
Ge7 0.490 0.502 0.860
Ge8 0.493 0.497 0.653
Ge9 0.494 0.838 0.816
Ge10 0.505 0.172 0.689
Ge11 0.512 0.185 0.485
Ge12 0.512 0.839 0.009
Ge13 0.515 0.835 0.309
Ge14 0.516 0.511 0.151
Ge15 0.518 0.851 0.521
Ge16 0.520 0.169 0.976
Ge17 0.522 0.492 0.359
Ge18 0.993 0.672 0.475
Ge19 0.993 0.998 0.349
Ge20 0.994 0.345 0.518
Ge21 0.998 0.343 0.016
S1 0.149 0.195 0.919
S2 0.149 0.528 0.582
S3 0.152 0.818 0.581
S4 0.214 0.172 0.584
S5 0.223 0.506 0.251
S6 0.298 0.671 0.084
S7 0.355 0.319 0.083
S8 0.358 0.026 0.083
S9 0.361 0.985 0.418
S10 0.362 0.698 0.420
S11 0.711 0.673 0.582
S12 0.789 0.503 0.751
S13 0.801 0.172 0.083
S14 0.855 0.864 0.750
S15 0.856 0.820 0.083
S16 0.857 0.525 0.084
S17 0.859 0.193 0.419
S18 0.862 0.150 0.752
O1 0.053 0.110 0.191
O2 0.059 0.251 0.260
O3 0.061 0.900 0.312
O4 0.065 0.445 0.857
O5 0.065 0.580 0.928
O6 0.074 0.106 0.914
O7 0.075 0.234 0.975
O8 0.075 0.763 0.245
O9 0.078 0.437 0.578
O10 0.078 0.774 0.527
O11 0.081 0.909 0.584
O12 0.083 0.566 0.638
O13 0.107 0.930 0.913
O14 0.109 0.752 0.927
O15 0.111 0.252 0.578
O16 0.113 0.090 0.589
O17 0.117 0.082 0.314
O18 0.118 0.583 0.242
O19 0.118 0.585 0.527
O20 0.125 0.417 0.979
O21 0.125 0.423 0.253
O22 0.127 0.768 0.638
O23 0.131 0.251 0.863
O24 0.144 0.926 0.192
O25 0.164 0.348 0.762
O26 0.174 0.984 0.690
O27 0.175 0.026 0.810
O28 0.177 0.325 0.077
O29 0.178 0.351 0.479
O30 0.182 0.017 0.086
O31 0.183 0.662 0.745
O32 0.187 0.690 0.427
O33 0.188 0.319 0.356
O34 0.189 0.994 0.415
O35 0.202 0.657 0.028
O36 0.204 0.680 0.139
O37 0.305 0.188 0.640
O38 0.308 0.819 0.855
O39 0.309 0.154 0.529
O40 0.313 0.521 0.306
O41 0.319 0.161 0.246
O42 0.320 0.486 0.194
O43 0.321 0.186 0.927
O44 0.323 0.520 0.585
O45 0.323 0.862 0.978
O46 0.327 0.825 0.574
O47 0.333 0.490 0.915
O48 0.342 0.858 0.264
O49 0.361 0.424 0.693
O50 0.380 0.268 0.139
O51 0.380 0.754 0.364
O52 0.381 0.925 0.475
O53 0.386 0.085 0.027
O54 0.389 0.579 0.808
O55 0.392 0.431 0.412
O56 0.392 0.916 0.756
O57 0.396 0.097 0.742
O58 0.399 0.585 0.087
O59 0.400 0.752 0.079
O60 0.401 0.246 0.427
O61 0.421 0.067 0.138
O62 0.423 0.412 0.087
O63 0.426 0.277 0.027
O64 0.429 0.608 0.415
O65 0.430 0.943 0.363
O66 0.433 0.740 0.476
O67 0.433 0.936 0.077
O68 0.438 0.073 0.425
O69 0.441 0.261 0.742
O70 0.441 0.403 0.812
O71 0.449 0.603 0.688
O72 0.451 0.749 0.756
O73 0.558 0.401 0.310
O74 0.558 0.611 0.189
O75 0.562 0.734 0.978
O76 0.562 0.745 0.258
O77 0.563 0.080 0.924
O78 0.563 0.939 0.855
O79 0.566 0.075 0.645
O80 0.567 0.283 0.526
O81 0.567 0.931 0.579
O82 0.569 0.595 0.907
O83 0.573 0.267 0.243
O84 0.574 0.421 0.597
O85 0.600 0.088 0.244
O86 0.602 0.251 0.925
O87 0.607 0.580 0.312
O88 0.608 0.755 0.576
O89 0.614 0.592 0.585
O90 0.615 0.914 0.258
O91 0.616 0.429 0.908
O92 0.619 0.094 0.523
O93 0.624 0.253 0.645
O94 0.625 0.762 0.857
O95 0.635 0.430 0.191
O96 0.638 0.923 0.977
O97 0.675 0.497 0.414
O98 0.680 0.516 0.086
O99 0.680 0.829 0.077
O100 0.685 0.184 0.423
O101 0.685 0.858 0.755
O102 0.688 0.821 0.357
O103 0.690 0.157 0.747
O104 0.690 0.859 0.477
O105 0.698 0.487 0.695
O106 0.698 0.517 0.806
O107 0.705 0.158 0.025
O108 0.706 0.188 0.136
O109 0.807 0.688 0.636
O110 0.810 0.660 0.526
O111 0.817 0.027 0.313
O112 0.818 0.354 0.978
O113 0.826 0.655 0.247
O114 0.826 0.977 0.192
O115 0.829 0.313 0.857
O116 0.831 0.687 0.926
O117 0.838 0.001 0.905
O118 0.840 0.018 0.594
O119 0.842 0.360 0.260
O120 0.845 0.326 0.578
O121 0.878 0.249 0.363
O122 0.879 0.422 0.478
O123 0.880 0.769 0.140
O124 0.881 0.919 0.693
O125 0.888 0.094 0.807
O126 0.889 0.580 0.029
O127 0.893 0.420 0.754
O128 0.895 0.582 0.743
O129 0.901 0.090 0.086
O130 0.904 0.933 0.412
O131 0.905 0.255 0.075
O132 0.907 0.754 0.425
O133 0.919 0.563 0.141
O134 0.926 0.235 0.475
O135 0.928 0.774 0.743
O136 0.928 0.776 0.029
O137 0.929 0.432 0.080
O138 0.931 0.911 0.086
O139 0.932 0.111 0.695
O140 0.934 0.903 0.804
O141 0.935 0.105 0.415
O142 0.937 0.240 0.756
O143 0.941 0.440 0.356
O144 0.951 0.581 0.424

=====

Entry 2:
First-principles (PBE-GGA) data for an optimized crystal structure of Na10Mg6Si3Ge2S9O48, as listed in the Materials Project database.

Values from the calculation:
The calculation puts the formation energy at -2339 meV/atom. The value obtained for the MP2020-corrected energy is -1516.6 eV per cell.

a = 8.867 Å, b = 15.220 Å, c = 22.138 Å
α = 89.92°, β = 89.83°, γ = 89.94°
Fractional positions:
Na1 0.000 0.000 0.000
Na2 0.003 0.701 0.334
Na3 0.034 0.011 0.336
Na4 0.160 0.192 0.245
Na5 0.164 0.525 0.084
Na6 0.173 0.845 0.916
Na7 0.174 0.848 0.413
Na8 0.180 0.176 0.745
Na9 0.196 0.511 0.584
Na10 0.308 0.347 0.166
Na11 0.313 0.675 0.498
Na12 0.342 0.698 0.837
Na13 0.358 0.329 0.829
Na14 0.362 0.368 0.498
Na15 0.485 0.869 0.000
Na16 0.487 0.830 0.329
Na17 0.533 0.176 0.000
Na18 0.658 0.017 0.084
Na19 0.669 0.676 0.245
Na20 0.672 0.345 0.416
Na21 0.674 0.349 0.913
Na22 0.676 0.019 0.584
Na23 0.679 0.690 0.744
Na24 0.821 0.515 0.836
Na25 0.843 0.201 0.833
Na26 0.848 0.499 0.499
Na27 0.857 0.868 0.504
Na28 0.865 0.826 0.823
Na29 0.986 0.679 0.671
Na30 0.990 0.368 0.003
Mg1 0.161 0.858 0.572
Mg2 0.165 0.849 0.764
Mg3 0.168 0.520 0.935
Mg4 0.169 0.845 0.267
Mg5 0.172 0.182 0.104
Mg6 0.173 0.180 0.601
Mg7 0.174 0.847 0.064
Mg8 0.177 0.186 0.398
Mg9 0.182 0.516 0.433
Mg10 0.664 0.685 0.603
Mg11 0.666 0.017 0.934
Mg12 0.672 0.347 0.564
Mg13 0.674 0.018 0.436
Mg14 0.675 0.680 0.101
Mg15 0.678 0.345 0.767
Mg16 0.681 0.349 0.265
Mg17 0.683 0.681 0.898
Mg18 0.691 0.355 0.073
Si1 0.029 0.365 0.839
Si2 0.030 0.663 0.833
Si3 0.317 0.658 0.333
Si4 0.318 0.036 0.001
Si5 0.528 0.536 0.500
Si6 0.529 0.158 0.833
Si7 0.817 0.868 0.338
Si8 0.866 0.853 0.668
Si9 0.975 0.349 0.168
Ge1 0.161 0.505 0.738
Ge2 0.176 0.515 0.231
Ge3 0.190 0.175 0.892
Ge4 0.656 0.674 0.391
Ge5 0.661 0.016 0.727
Ge6 0.676 0.009 0.234
S1 0.017 0.995 0.169
S2 0.025 0.700 0.167
S3 0.026 0.326 0.500
S4 0.028 0.036 0.498
S5 0.320 0.698 0.668
S6 0.323 0.366 0.332
S7 0.323 0.997 0.668
S8 0.325 0.330 0.999
S9 0.373 0.352 0.668
S10 0.383 0.679 0.000
S11 0.386 0.020 0.331
S12 0.460 0.516 0.832
S13 0.466 0.179 0.500
S14 0.474 0.852 0.168
S15 0.523 0.829 0.498
S16 0.525 0.498 0.168
S17 0.526 0.870 0.832
S18 0.533 0.195 0.169
S19 0.815 0.160 0.332
S20 0.818 0.534 0.999
S21 0.821 0.199 0.667
S22 0.822 0.827 0.999
S23 0.827 0.493 0.667
S24 0.881 0.514 0.335
S25 0.883 0.182 0.998
S26 0.965 0.017 0.834
S27 0.965 0.682 0.499
O1 0.001 0.500 0.671
O2 0.040 0.943 0.114
O3 0.050 0.750 0.223
O4 0.052 0.595 0.769
O5 0.053 0.102 0.838
O6 0.054 0.422 0.898
O7 0.054 0.599 0.494
O8 0.055 0.275 0.444
O9 0.067 0.089 0.551
O10 0.069 0.942 0.827
O11 0.071 0.758 0.503
O12 0.079 0.952 0.223
O13 0.080 0.084 0.164
O14 0.084 0.076 0.440
O15 0.090 0.443 0.179
O16 0.092 0.417 0.494
O17 0.094 0.743 0.114
O18 0.098 0.269 0.163
O19 0.098 0.946 0.500
O20 0.099 0.287 0.553
O21 0.100 0.610 0.172
O22 0.104 0.761 0.827
O23 0.107 0.264 0.844
O24 0.120 0.618 0.886
O25 0.127 0.405 0.779
O26 0.227 0.083 0.939
O27 0.236 0.624 0.393
O28 0.238 0.939 0.002
O29 0.240 0.609 0.671
O30 0.251 0.278 0.335
O31 0.252 0.739 0.613
O32 0.253 0.289 0.052
O33 0.254 0.408 0.276
O34 0.256 0.086 0.662
O35 0.257 0.418 0.992
O36 0.258 0.758 0.323
O37 0.266 0.955 0.722
O38 0.271 0.275 0.663
O39 0.277 0.436 0.673
O40 0.280 0.594 0.273
O41 0.284 0.096 0.336
O42 0.286 0.749 0.723
O43 0.286 0.760 0.005
O44 0.289 0.418 0.386
O45 0.289 0.600 0.997
O46 0.291 0.103 0.055
O47 0.291 0.940 0.323
O48 0.299 0.274 0.942
O49 0.299 0.945 0.613
O50 0.340 0.166 0.836
O51 0.346 0.521 0.494
O52 0.353 0.506 0.171
O53 0.357 0.834 0.505
O54 0.362 0.533 0.777
O55 0.362 0.862 0.825
O56 0.368 0.184 0.164
O57 0.369 0.496 0.885
O58 0.371 0.195 0.446
O59 0.372 0.169 0.555
O60 0.381 0.844 0.222
O61 0.384 0.864 0.112
O62 0.462 0.365 0.612
O63 0.466 0.344 0.722
O64 0.474 0.694 0.943
O65 0.481 0.005 0.384
O66 0.481 0.035 0.275
O67 0.482 0.673 0.053
O68 0.483 0.685 0.664
O69 0.488 0.358 0.325
O70 0.491 0.334 0.004
O71 0.495 0.007 0.670
O72 0.501 0.022 0.994
O73 0.506 0.666 0.335
O74 0.546 0.441 0.114
O75 0.546 0.775 0.440
O76 0.553 0.597 0.837
O77 0.555 0.602 0.555
O78 0.557 0.919 0.888
O79 0.562 0.253 0.221
O80 0.562 0.260 0.506
O81 0.562 0.440 0.822
O82 0.563 0.101 0.494
O83 0.564 0.093 0.773
O84 0.570 0.937 0.172
O85 0.576 0.775 0.163
O86 0.583 0.456 0.223
O87 0.589 0.258 0.823
O88 0.590 0.918 0.491
O89 0.591 0.586 0.161
O90 0.593 0.780 0.836
O91 0.596 0.233 0.112
O92 0.599 0.789 0.549
O93 0.605 0.910 0.779
O94 0.609 0.439 0.502
O95 0.610 0.105 0.175
O96 0.611 0.124 0.892
O97 0.620 0.583 0.438
O98 0.720 0.911 0.278
O99 0.740 0.766 0.343
O100 0.745 0.110 0.671
O101 0.745 0.247 0.325
O102 0.747 0.445 0.002
O103 0.747 0.786 0.051
O104 0.751 0.119 0.386
O105 0.754 0.243 0.614
O106 0.756 0.918 0.995
O107 0.759 0.945 0.678
O108 0.763 0.574 0.942
O109 0.764 0.764 0.662
O110 0.767 0.452 0.722
O111 0.768 0.583 0.663
O112 0.776 0.440 0.328
O113 0.777 0.258 0.003
O114 0.779 0.587 0.052
O115 0.791 0.927 0.396
O116 0.793 0.779 0.942
O117 0.794 0.099 0.277
O118 0.794 0.100 0.994
O119 0.794 0.601 0.337
O120 0.796 0.249 0.723
O121 0.800 0.441 0.612
O122 0.843 0.002 0.175
O123 0.846 0.670 0.834
O124 0.850 0.357 0.827
O125 0.860 0.336 0.507
O126 0.860 0.688 0.160
O127 0.861 0.026 0.497
O128 0.866 0.032 0.781
O129 0.868 0.336 0.225
O130 0.870 0.673 0.553
O131 0.873 0.700 0.443
O132 0.877 0.001 0.890
O133 0.893 0.371 0.103
O134 0.958 0.871 0.605
O135 0.969 0.503 0.391
O136 0.971 0.836 0.726
O137 0.972 0.200 0.942
O138 0.981 0.173 0.051
O139 0.981 0.530 0.281
O140 0.983 0.166 0.335
O141 0.986 0.187 0.660
O142 0.986 0.524 0.999
O143 0.987 0.836 0.006
O144 0.996 0.857 0.326

=====

| no. | calculated total energy (eV/f.u.) |
| --- | --- |
| 1 | -471.06 |
| 2 | -472.56 |